# Na2Al4Si3Sn4S9O48 | the Materials Project | PBE | optimized geometry
data_Na2Al4Si3Sn4S9O48
_symmetry_space_group_name_H-M 'P 1'
_symmetry_Int_Tables_number 1
_cell_length_a 8.620
_cell_length_b 14.824
_cell_length_c 22.463
_cell_angle_alpha 90.33
_cell_angle_beta 90.30
_cell_angle_gamma 90.05
loop_
_symmetry_equiv_pos_as_xyz
'x,y,z'
loop_
_atom_site_label
_atom_site_type_symbol
_atom_site_fract_x
_atom_site_fract_y
_atom_site_fract_z
Na1 Na 0.000 0.000 0.000
Na2 Na 0.002 0.002 0.509
Na3 Na 0.015 0.666 0.340
Na4 Na 0.497 0.167 0.836
Na5 Na 0.506 0.491 0.504
Na6 Na 0.508 0.499 0.007
Al1 Al 0.003 0.002 0.858
Al2 Al 0.003 0.673 0.492
Al3 Al 0.015 0.666 0.198
Al4 Al 0.476 0.172 0.693
Al5 Al 0.499 0.503 0.363
Al6 Al 0.507 0.174 0.990
Al7 Al 0.509 0.505 0.856
Al8 Al 0.511 0.837 0.532
Al9 Al 0.522 0.840 0.023
Al10 Al 0.997 0.334 0.030
Al11 Al 0.997 0.337 0.530
Al12 Al 0.999 0.009 0.361
Si1 Si 0.157 0.140 0.761
Si2 Si 0.344 0.315 0.592
Si3 Si 0.356 0.642 0.260
Si4 Si 0.649 0.644 0.759
Si5 Si 0.654 0.316 0.086
Si6 Si 0.715 0.344 0.426
Si7 Si 0.800 0.846 0.925
Si8 Si 0.857 0.816 0.585
Si9 Si 0.862 0.147 0.261
Sn1 Sn 0.003 0.003 0.654
Sn2 Sn 0.004 0.008 0.156
Sn3 Sn 0.008 0.330 0.819
Sn4 Sn 0.503 0.831 0.321
Sn5 Sn 0.505 0.504 0.652
Sn6 Sn 0.507 0.501 0.156
Sn7 Sn 0.511 0.182 0.486
Sn8 Sn 0.518 0.833 0.819
Sn9 Sn 0.522 0.175 0.196
Sn10 Sn 0.989 0.674 0.695
Sn11 Sn 0.995 0.333 0.322
Sn12 Sn 0.999 0.674 0.984
S1 S 0.142 0.525 0.089
S2 S 0.148 0.186 0.425
S3 S 0.150 0.487 0.426
S4 S 0.151 0.860 0.761
S5 S 0.159 0.815 0.092
S6 S 0.210 0.838 0.426
S7 S 0.217 0.505 0.760
S8 S 0.218 0.172 0.086
S9 S 0.291 0.674 0.586
S10 S 0.293 0.004 0.260
S11 S 0.299 0.337 0.927
S12 S 0.357 0.360 0.261
S13 S 0.362 0.984 0.928
S14 S 0.366 0.689 0.926
S15 S 0.368 0.024 0.588
S16 S 0.642 0.021 0.086
S17 S 0.645 0.356 0.760
S18 S 0.652 0.979 0.425
S19 S 0.654 0.691 0.427
S20 S 0.713 0.009 0.758
S21 S 0.716 0.675 0.092
S22 S 0.791 0.173 0.592
S23 S 0.799 0.508 0.258
S24 S 0.856 0.191 0.927
S25 S 0.857 0.477 0.924
S26 S 0.865 0.856 0.259
S27 S 0.868 0.525 0.586
O1 O 0.071 0.568 0.142
O2 O 0.072 0.095 0.417
O3 O 0.074 0.436 0.079
O4 O 0.075 0.106 0.699
O5 O 0.075 0.229 0.477
O6 O 0.075 0.901 0.812
O7 O 0.077 0.578 0.435
O8 O 0.080 0.242 0.764
O9 O 0.080 0.780 0.038
O10 O 0.081 0.452 0.369
O11 O 0.084 0.908 0.098
O12 O 0.089 0.767 0.755
O13 O 0.110 0.428 0.767
O14 O 0.112 0.920 0.417
O15 O 0.114 0.755 0.432
O16 O 0.116 0.081 0.819
O17 O 0.118 0.087 0.089
O18 O 0.121 0.252 0.076
O19 O 0.123 0.428 0.477
O20 O 0.124 0.583 0.035
O21 O 0.124 0.760 0.145
O22 O 0.130 0.589 0.753
O23 O 0.132 0.910 0.704
O24 O 0.135 0.242 0.370
O25 O 0.163 0.325 0.576
O26 O 0.169 0.655 0.249
O27 O 0.188 0.355 0.268
O28 O 0.189 0.656 0.535
O29 O 0.193 0.014 0.312
O30 O 0.193 0.994 0.921
O31 O 0.196 0.675 0.933
O32 O 0.197 0.015 0.594
O33 O 0.197 0.353 0.979
O34 O 0.206 0.981 0.203
O35 O 0.207 0.687 0.643
O36 O 0.208 0.321 0.871
O37 O 0.300 0.821 0.370
O38 O 0.302 0.184 0.144
O39 O 0.305 0.483 0.705
O40 O 0.313 0.517 0.094
O41 O 0.313 0.853 0.478
O42 O 0.315 0.170 0.431
O43 O 0.316 0.514 0.814
O44 O 0.320 0.154 0.035
O45 O 0.320 0.496 0.419
O46 O 0.321 0.856 0.769
O47 O 0.325 0.825 0.082
O48 O 0.344 0.150 0.753
O49 O 0.375 0.409 0.204
O50 O 0.378 0.745 0.872
O51 O 0.380 0.089 0.251
O52 O 0.385 0.756 0.576
O53 O 0.388 0.255 0.649
O54 O 0.389 0.080 0.534
O55 O 0.390 0.924 0.980
O56 O 0.393 0.593 0.589
O57 O 0.395 0.254 0.933
O58 O 0.396 0.580 0.317
O59 O 0.398 0.419 0.919
O60 O 0.400 0.927 0.266
O61 O 0.421 0.268 0.255
O62 O 0.430 0.417 0.596
O63 O 0.432 0.744 0.264
O64 O 0.432 0.949 0.872
O65 O 0.434 0.734 0.980
O66 O 0.434 0.934 0.579
O67 O 0.436 0.076 0.937
O68 O 0.436 0.283 0.532
O69 O 0.436 0.402 0.312
O70 O 0.436 0.608 0.197
O71 O 0.439 0.064 0.643
O72 O 0.439 0.598 0.919
O73 O 0.562 0.742 0.759
O74 O 0.566 0.268 0.031
O75 O 0.569 0.417 0.092
O76 O 0.569 0.932 0.079
O77 O 0.570 0.398 0.813
O78 O 0.572 0.606 0.697
O79 O 0.576 0.737 0.477
O80 O 0.578 0.057 0.143
O81 O 0.578 0.604 0.418
O82 O 0.581 0.265 0.753
O83 O 0.582 0.942 0.368
O84 O 0.583 0.068 0.431
O85 O 0.604 0.932 0.764
O86 O 0.605 0.433 0.415
O87 O 0.613 0.251 0.427
O88 O 0.614 0.583 0.817
O89 O 0.616 0.081 0.035
O90 O 0.616 0.594 0.096
O91 O 0.620 0.755 0.083
O92 O 0.620 0.920 0.476
O93 O 0.624 0.093 0.749
O94 O 0.627 0.410 0.705
O95 O 0.632 0.261 0.148
O96 O 0.646 0.747 0.371
O97 O 0.673 0.148 0.257
O98 O 0.674 0.827 0.575
O99 O 0.686 0.179 0.935
O100 O 0.686 0.484 0.918
O101 O 0.693 0.858 0.984
O102 O 0.694 0.182 0.645
O103 O 0.695 0.519 0.590
O104 O 0.696 0.851 0.266
O105 O 0.699 0.821 0.867
O106 O 0.701 0.522 0.310
O107 O 0.702 0.148 0.537
O108 O 0.712 0.486 0.202
O109 O 0.803 0.985 0.704
O110 O 0.808 0.323 0.365
O111 O 0.810 0.653 0.038
O112 O 0.811 0.020 0.811
O113 O 0.816 0.353 0.768
O114 O 0.817 0.011 0.090
O115 O 0.819 0.687 0.144
O116 O 0.824 0.679 0.435
O117 O 0.824 0.984 0.418
O118 O 0.831 0.355 0.483
O119 O 0.836 0.328 0.075
O120 O 0.837 0.649 0.757
O121 O 0.866 0.248 0.872
O122 O 0.878 0.762 0.648
O123 O 0.883 0.909 0.202
O124 O 0.885 0.254 0.584
O125 O 0.889 0.593 0.248
O126 O 0.892 0.421 0.976
O127 O 0.897 0.092 0.595
O128 O 0.898 0.583 0.535
O129 O 0.899 0.080 0.315
O130 O 0.907 0.755 0.930
O131 O 0.909 0.433 0.264
O132 O 0.910 0.933 0.914
O133 O 0.928 0.440 0.869
O134 O 0.928 0.567 0.930
O135 O 0.932 0.104 0.919
O136 O 0.933 0.765 0.249
O137 O 0.934 0.237 0.978
O138 O 0.935 0.435 0.579
O139 O 0.937 0.113 0.196
O140 O 0.938 0.559 0.643
O141 O 0.942 0.897 0.311
O142 O 0.942 0.917 0.592
O143 O 0.944 0.769 0.530
O144 O 0.946 0.244 0.261
# * electronic total energy: -1346.50 eV/cell
# * E_form: -157.1 eV per formula unit